VASP calculation (GGA+U) on an optimized crystal structure of Fe4O7F.

Computed properties:
Total energy: -147.321 eV/cell
ΔE_f: -1.460 eV per atom
Magnetization: 34.2 μB per cell
Energy above the lowest structure with this stoichiometry: 4.2 meV/atom

abc: 5.997 4.643 9.267
angles: 88.13 90.00 90.00
Fractional coordinates of all 24 atoms:
Fe: 0.995 0.982 0.743
Fe: 0.505 0.982 0.743
Fe: 0.005 0.018 0.257
Fe: 0.495 0.018 0.257
Fe: 0.250 0.502 0.501
Fe: 0.750 0.498 0.499
Fe: 0.250 0.529 0.015
Fe: 0.750 0.471 0.985
O: 0.250 0.211 0.354
O: 0.750 0.195 0.347
O: 0.750 0.173 0.838
O: 0.001 0.305 0.595
O: 0.499 0.305 0.595
O: 0.998 0.314 0.097
O: 0.502 0.314 0.097
O: 0.999 0.695 0.405
O: 0.501 0.695 0.405
O: 0.002 0.686 0.903
O: 0.498 0.686 0.903
O: 0.250 0.805 0.653
O: 0.750 0.789 0.646
O: 0.250 0.827 0.162
F: 0.250 0.189 0.848
F: 0.750 0.811 0.152

***

VASP calculation (GGA+U) on an optimized crystal structure of Fe6OF11.

Computed properties:
Total energy: -102.028 eV/cell
ΔE_f: -2.473 eV per atom
Magnetization: 25.0 μB per cell
Energy above the lowest structure with this stoichiometry: 9.8 meV/atom

abc: 4.838 5.845 8.113
angles: 87.62 89.51 89.59
Fractional coordinates of all 18 atoms:
Fe: 0.497 0.170 0.335
Fe: 0.511 0.491 0.995
Fe: 0.504 0.829 0.666
Fe: 0.007 0.665 0.330
Fe: 0.988 0.333 0.678
Fe: 0.983 0.022 0.994
O: 0.806 0.281 0.910
F: 0.802 0.632 0.565
F: 0.806 0.974 0.223
F: 0.712 0.802 0.902
F: 0.695 0.474 0.239
F: 0.703 0.129 0.563
F: 0.302 0.865 0.430
F: 0.300 0.534 0.765
F: 0.288 0.194 0.103
F: 0.203 0.021 0.776
F: 0.196 0.365 0.438
F: 0.198 0.718 0.088

***

VASP calculation (GGA+U) on an optimized crystal structure of Fe5O3F7.

Computed properties:
Total energy: -174.867 eV/cell
ΔE_f: -2.228 eV per atom
Magnetization: 46.0 μB per cell
Energy above the lowest structure with this stoichiometry: 2.3 meV/atom

abc: 4.811 4.820 15.576
angles: 90.13 90.23 91.02
Fractional coordinates of all 30 atoms:
Fe: 0.959 0.028 0.996
Fe: 0.003 0.995 0.800
Fe: 0.022 0.023 0.600
Fe: 0.022 0.026 0.400
Fe: 0.045 0.972 0.205
Fe: 0.540 0.526 0.906
Fe: 0.487 0.488 0.499
Fe: 0.475 0.474 0.702
Fe: 0.477 0.487 0.294
Fe: 0.500 0.502 0.101
O: 0.178 0.176 0.703
O: 0.187 0.191 0.501
O: 0.188 0.179 0.300
O: 0.308 0.692 0.191
O: 0.677 0.333 0.003
O: 0.810 0.811 0.891
F: 0.214 0.215 0.893
F: 0.198 0.196 0.103
F: 0.300 0.712 0.000
F: 0.304 0.699 0.807
F: 0.289 0.706 0.601
F: 0.287 0.709 0.399
F: 0.705 0.301 0.807
F: 0.705 0.289 0.601
F: 0.707 0.292 0.398
F: 0.714 0.287 0.191
F: 0.799 0.802 0.500
F: 0.794 0.791 0.699
F: 0.804 0.804 0.107
F: 0.805 0.794 0.301